1.
LiReN2: optimized geometry, PBE.

The structure in extended XYZ format:
```
8
Lattice="5.6831 0.4037 -0.5443 -2.2204 4.1207 0.0000 -6.9254 -3.7317 5.0319" Properties=species:S:1:pos:R:3 pbc="T T T"
Li -6.3043 -0.7384 3.7739
Li -3.4627 -1.8658 2.5160
Re -2.8416 1.1274 1.2580
Re 0.0000 0.0000 0.0000
N 1.8680 -0.0645 0.3568
N -3.5994 1.7901 2.8728
N -0.9735 0.8047 1.4233
N -4.2206 -0.9449 4.3223
```

Symmetry = No. 122
Total moment = 0.000 μB per atom
Energy relative to the elements = -1.534 eV/f.u.
Raw total energy = -7.96 eV/atom
Crystal system = tetragonal
E above lowest polymorph = 0.014 eV/atom

---

2.
Li3ReN2: optimized geometry, PBE.

The structure in extended XYZ format:
```
24
Lattice="-2.9599 -3.9710 -5.7410 1.8164 -3.5194 6.0137 -2.6538 9.0550 6.1008" Properties=species:S:1:pos:R:3 pbc="T T T"
Li -0.0684 1.5724 5.2519
Li -2.3407 7.9866 5.3810
Li 0.5579 -0.5644 3.8122
Li -0.3131 1.0684 0.7198
Li -1.9498 0.7889 3.1547
Li -3.1744 5.3031 6.2693
Li -2.1945 0.2849 -1.3774
Li -3.4191 4.7991 1.7372
Li -2.2878 3.5854 9.2043
Li -2.8363 2.5066 0.2196
Li -2.5326 3.0814 4.6723
Li -1.2647 -1.5168 1.7012
Re -0.7740 3.9802 6.8741
Re -1.6350 5.5788 3.7587
Re -1.3903 6.0829 8.2908
Re -1.0188 3.4761 2.3421
N -2.0140 -0.0805 0.5612
N -2.1212 2.7982 6.5893
N -1.4313 -0.7296 4.3163
N -3.3549 5.6685 4.3307
N -1.1644 5.9200 10.0840
N -1.9889 7.5175 7.3544
N -0.4202 2.0415 3.2785
N 0.5717 0.1196 6.5625
```

Symmetry = No. 141
Total moment = 0.000 μB per atom
Energy relative to the elements = -2.699 eV/f.u.
Raw total energy = -6.14 eV/atom
Crystal system = tetragonal

---

3.
LiReN2: optimized geometry, PBE.

The structure in extended XYZ format:
```
64
Lattice="5.7721 0.0000 0.0000 0.0000 10.5107 0.0000 0.0000 0.0000 13.4124" Properties=species:S:1:pos:R:3 pbc="T T T"
Li 0.6013 0.2975 5.6909
Li 3.4874 4.9579 7.7216
Li 5.1708 5.5528 1.0153
Li 2.2847 10.2133 12.3971
Li 5.1708 10.2133 7.7216
Li 2.2847 5.5528 5.6909
Li 0.6013 4.9579 12.3971
Li 3.4874 0.2975 1.0153
Li 1.6281 2.7003 4.1537
Li 4.5141 2.5551 9.2587
Li 4.1441 7.9557 2.5525
Li 1.2580 7.8105 10.8600
Li 4.1441 7.8105 9.2587
Li 1.2580 7.9557 4.1537
Li 1.6281 2.5551 10.8600
Li 4.5141 2.7003 2.5525
Re 3.5000 10.4476 4.2619
Re 0.6140 5.3186 9.1505
Re 2.2721 5.1922 2.4443
Re 5.1582 0.0632 10.9682
Re 2.2721 0.0632 9.1505
Re 5.1582 5.1922 4.2619
Re 3.5000 5.3186 10.9682
Re 0.6140 10.4476 2.4443
Re 4.6443 2.9973 5.6624
Re 1.7582 2.2580 7.7500
Re 1.1279 8.2527 1.0438
Re 4.0139 7.5134 12.3686
Re 1.1279 7.5134 7.7500
Re 4.0139 8.2527 5.6624
Re 4.6443 2.2580 12.3686
Re 1.7582 2.9973 1.0438
N 0.4876 2.3225 6.1381
N 3.3736 2.9328 7.2744
N 5.2846 7.5779 0.5681
N 2.3985 8.1882 12.8443
N 5.2846 8.1882 7.2744
N 2.3985 7.5779 6.1381
N 0.4876 2.9328 12.8443
N 3.3736 2.3225 0.5681
N 4.2505 4.9446 5.8974
N 1.3644 0.3108 7.5150
N 1.5216 10.2000 0.8088
N 4.4077 5.5661 12.6036
N 1.5216 5.5661 7.5150
N 4.4077 10.2000 5.8974
N 4.2505 0.3108 12.6036
N 1.3644 4.9446 0.8088
N 3.6850 1.9464 4.4973
N 0.7990 3.3090 8.9151
N 2.0871 7.2018 2.2089
N 4.9732 8.5643 11.2035
N 2.0871 8.5643 8.9151
N 4.9732 7.2018 4.4973
N 3.6850 3.3090 11.2035
N 0.7990 1.9464 2.2089
N 4.1112 5.0014 2.6882
N 1.2251 0.2540 10.7242
N 1.6609 10.2567 4.0180
N 4.5470 5.5094 9.3945
N 1.6609 5.5094 10.7242
N 4.5470 10.2567 2.6882
N 4.1112 0.2540 9.3945
N 1.2251 5.0014 4.0180
```

Symmetry = No. 61
Total moment = 0.000 μB per atom
Energy relative to the elements = -1.590 eV/f.u.
Raw total energy = -7.97 eV/atom
Crystal system = orthorhombic
E above lowest polymorph = 0.000 eV/atom

---

4.
LiReN2: optimized geometry, PBE.

The structure in extended XYZ format:
```
16
Lattice="5.6241 0.0000 0.0000 0.0000 6.5452 0.0000 0.0000 0.0000 5.5516" Properties=species:S:1:pos:R:3 pbc="T T T"
Li 3.3041 2.4670 0.0248
Li 2.3200 4.0782 2.8006
Li 5.1320 5.7396 2.8006
Li 0.4921 0.8056 0.0248
Re 3.1997 5.6903 0.0699
Re 2.4244 0.8549 2.8457
Re 5.2364 2.4177 2.8457
Re 0.3876 4.1275 0.0699
N 3.4043 2.3538 2.2252
N 2.2198 4.1915 5.0010
N 5.0318 5.6264 5.0010
N 0.5923 0.9188 2.2252
N 3.1195 5.8806 1.9547
N 2.5046 0.6647 4.7305
N 5.3167 2.6079 4.7305
N 0.3074 3.9373 1.9547
```

Symmetry = No. 33
Total moment = 0.000 μB per atom
Energy relative to the elements = -1.473 eV/f.u.
Raw total energy = -7.94 eV/atom
Crystal system = orthorhombic
E above lowest polymorph = 0.029 eV/atom

---

5.
Li7ReN4: optimized geometry, PBE.

The structure in extended XYZ format:
```
96
Lattice="-8.2023 -3.3285 -4.3061 5.0795 -1.8849 -8.2185 1.9544 -9.0701 3.2881" Properties=species:S:1:pos:R:3 pbc="T T T"
Li 0.9772 -4.5350 1.6441
Li 2.5398 -0.9424 -4.1093
Li -4.1011 -1.6643 -2.1531
Li -3.1239 -6.1993 -0.5090
Li -1.5614 -2.6067 -6.2623
Li 3.5170 -5.4775 -2.4652
Li 3.0284 -3.2100 -3.2872
Li -0.2915 -3.0779 -8.3169
Li -1.0733 -5.3672 0.5675
Li -2.8312 -2.1355 -4.2077
Li -5.1745 -7.0314 -1.5855
Li 4.0056 -7.7450 -1.6431
Li 2.0392 -4.7068 -6.2859
Li -4.1128 -5.3755 -4.4737
Li 0.5917 -8.0349 -0.9561
Li -0.8547 -10.4497 -6.7574
Li -1.9469 -6.1066 -8.8624
Li 3.5053 -9.1887 -4.7858
Li -3.6244 -9.9637 -2.6856
Li -0.2706 -3.3080 -2.1391
Li -1.1041 -4.7286 -5.4930
Li 0.7673 -7.6432 -6.8048
Li 1.5981 -6.2562 -3.4726
Li -1.9356 -6.6403 -2.4317
Li -2.7663 -8.0273 -5.7639
Li -0.0642 -9.5548 -3.7434
Li 3.7281 -1.3834 -6.0320
Li 0.5200 -2.4131 0.8748
Li -6.0200 -2.4430 -3.1605
Li 1.4345 -6.6570 2.4133
Li -2.1822 -0.8855 -1.1456
Li 1.3514 -0.5015 -2.1865
Li -0.0512 -5.3618 -7.4660
Li 2.6644 -7.0201 -5.6154
Li 0.9248 -4.1330 -4.1364
Li -2.1041 -4.3413 -3.4310
Li -3.7533 -7.6316 -3.4876
Li -3.0111 -5.8903 -6.6445
Li -1.4500 -9.0568 -1.9453
Li 0.0199 -5.7000 -1.5985
Li 2.0490 -8.4697 -2.9255
Li 1.2687 -9.8070 -5.6307
Li -1.2675 -8.2153 -7.7714
Li -2.2993 -10.0740 -4.7665
Li 4.0895 -3.6066 -5.4585
Li -5.6794 -4.8753 -2.6314
Li -0.3298 -12.8163 -6.2858
Li -2.7434 -11.6099 -7.8461
Li -0.3622 -7.5999 1.2798
Li 1.8552 -2.4668 -7.3090
Li 2.6115 -7.4835 0.3534
Li 0.1614 -11.1734 -8.8886
Li -4.8986 -3.1148 -5.0822
Li -6.2942 -5.8670 -5.5216
Li 3.5436 -4.9185 -8.2327
Li 1.0366 -10.1691 0.2040
Re -0.5841 -7.1417 -4.6182
Re 0.0000 0.0000 0.0000
Re -3.6125 -3.9318 -1.3310
Re 4.7869 -5.9487 -4.5198
Re 0.4892 -1.7746 -5.1858
Re 2.2471 -5.0063 -0.4106
Re -3.6119 -3.4388 -7.3388
Re -2.6353 -8.4668 0.3131
N 0.7067 -5.9436 -5.4388
N -2.3204 -6.2726 -4.5471
N -0.0056 -7.5812 -2.8162
N -0.7173 -8.7695 -5.6708
N -2.5441 -5.6529 -10.7226
N 5.2977 -10.0859 -4.8592
N -4.9570 -11.2005 -1.8385
N -0.1331 -1.6277 -1.0526
N 1.5523 -4.2086 -8.4374
N 4.1387 -5.5465 -6.3221
N 2.2052 -2.7145 -5.2287
N -4.1319 -3.5252 -3.1735
N -5.7443 -6.7075 -3.6502
N -4.8544 -4.6963 -6.4992
N -0.8852 -9.3301 0.1644
N 0.9080 -6.2149 0.3484
N 2.5495 -9.1654 -0.8982
N 1.1283 -11.5031 -7.0265
N -1.6390 -10.0981 -8.8491
N -2.2369 -11.9907 -5.8467
N -3.2986 -7.5967 -7.8297
N 0.1222 -7.0163 -8.7865
N -1.8670 -4.3123 -7.4883
N 3.5418 -7.2105 -3.6905
N 2.6525 -8.7303 -6.8295
N 1.9294 -10.4279 -3.7393
N -4.2366 -9.2705 -4.7493
N -3.2777 -8.0736 -1.4933
N -1.5805 -10.8962 -2.9448
N 1.6568 -4.4893 -2.2034
N -1.8335 -4.7468 -1.3637
N -0.8184 -2.9307 -4.3005
```

Symmetry = No. 218
Total moment = 0.167 μB per atom
Energy relative to the elements = -6.816 eV/f.u.
Raw total energy = -5.38 eV/atom
Crystal system = cubic

---

6.
LiRh2N3: optimized geometry, PBE.

The structure in extended XYZ format:
```
12
Lattice="-2.2476 2.6497 4.5080 -2.1022 -4.8999 -1.6079 3.4850 -2.5590 3.2417" Properties=species:S:1:pos:R:3 pbc="T T T"
Li 0.3030 -4.5851 0.5171
Li 2.7900 -4.1294 2.7074
Rh 0.2627 -2.0602 2.5234
Rh 0.1754 0.4587 4.6057
Rh 0.5593 -3.9875 5.1874
Rh 0.6466 -6.5063 3.1051
N 1.4905 -2.8796 3.8467
N -0.5149 -5.2717 4.1143
N -1.6079 -2.4783 2.9902
N 0.3975 -0.0861 2.7227
N 1.6790 -5.6381 1.7994
N 0.7087 -2.5586 0.7692
```

Symmetry = No. 36
Total moment = 0.000 μB per atom
Energy relative to the elements = 1.150 eV/f.u.
Raw total energy = -6.57 eV/atom
Crystal system = orthorhombic

---

7.
Li3RuN2: optimized geometry, PBE.

The structure in extended XYZ format:
```
24
Lattice="-8.1676 1.9098 -2.6159 1.4631 -5.8634 -1.4608 10.7024 -0.0237 10.8145" Properties=species:S:1:pos:R:3 pbc="T T T"
Li 4.5495 -2.9401 3.1277
Li 9.5599 -0.0212 9.6601
Li 2.2647 -2.9351 0.8189
Li 1.1424 -0.0025 1.1544
Li 1.7345 -1.8105 3.6309
Li 7.6144 -2.1786 8.5142
Li -1.6726 1.1271 1.6577
Li 4.2073 0.7590 6.5410
Li 8.2086 -4.5600 7.9210
Li 1.1403 0.5709 4.2242
Li 4.8015 -1.6224 5.9477
Li -0.8037 -2.3549 0.7902
Ru 10.2613 -2.9528 8.8993
Ru 3.8482 -0.0085 3.8885
Ru 7.2553 -2.9461 5.8618
Ru 6.8542 -0.0152 6.9260
N 5.4717 -3.1629 4.9452
N -1.8098 -0.8137 1.4533
N 7.7517 -0.2379 8.7186
N 1.9332 -3.7520 3.7660
N 0.7440 -2.3090 -0.4054
N 1.0550 -3.5551 -0.7159
N 3.8152 -5.2459 1.2284
N 2.6631 -0.6286 2.3787
```

Symmetry = No. 141
Total moment = 0.049 μB per atom
Energy relative to the elements = 0.593 eV/f.u.
Raw total energy = -5.06 eV/atom
Crystal system = tetragonal
E above lowest polymorph = 0.411 eV/atom

---

8.
Li3RuN2: optimized geometry, PBE.

The structure in extended XYZ format:
```
48
Lattice="8.4489 0.0000 0.0000 5.6326 7.9657 0.0000 -5.6326 3.9829 6.8985" Properties=species:S:1:pos:R:3 pbc="T T T"
Li -3.4516 4.2193 6.8200
Li 7.9448 8.1094 3.5278
Li 4.8583 6.7347 5.2542
Li 1.9138 8.8168 5.0936
Li 4.8583 7.1573 1.8883
Li 10.3627 5.9771 0.1655
Li 4.9973 9.7710 3.2838
Li 7.9448 4.9748 1.5610
Li 1.9138 3.1291 5.0888
Li 4.8583 4.0310 3.2053
Li -0.5041 4.8388 5.2590
Li 4.9973 3.9327 0.2440
Li 11.9006 7.7293 0.0785
Li 0.5041 3.8393 3.3708
Li 3.5906 5.2139 1.6443
Li 6.5352 3.1318 1.8050
Li 3.5906 4.7913 5.0103
Li -1.9138 5.9715 6.7331
Li 3.4516 2.1776 3.6147
Li 0.5041 6.9738 5.3375
Li 6.5352 8.8195 1.8098
Li 3.5906 7.9177 3.6932
Li 8.9531 7.1098 1.6395
Li 3.4516 8.0159 6.6546
Ru -2.1659 2.9113 5.0425
Ru 6.2831 8.8856 5.3053
Ru 6.4977 5.9743 3.4493
Ru 6.2831 6.1261 0.0000
Ru 4.9822 1.0716 1.8561
Ru 2.1659 3.0630 1.5932
Ru 1.9513 5.9743 3.4493
Ru 7.7985 1.8397 0.0000
N -2.8163 1.9914 3.4493
N 2.8163 3.9829 0.0000
N 0.0000 5.9743 3.4493
N 0.0000 0.0000 0.0000
N 5.5212 10.7954 5.1739
N 5.7440 5.1361 1.7246
N -2.7049 4.8998 5.0375
N -0.1114 9.0402 5.3103
N 5.7440 7.8870 3.5857
N 2.7049 10.0359 6.7621
N 2.9277 1.1532 1.7246
N 2.7049 6.8125 5.1739
N 2.7049 7.0488 1.8611
N 0.1114 2.9084 1.5882
N 2.7049 4.0616 3.3128
N 5.7440 1.9127 0.1364
```

Symmetry = No. 206
Total moment = 0.000 μB per atom
Energy relative to the elements = -1.870 eV/f.u.
Raw total energy = -5.47 eV/atom
Crystal system = cubic
E above lowest polymorph = 0.000 eV/atom

---

9.
Li2RuN2: optimized geometry, PBE.

The structure in extended XYZ format:
```
5
Lattice="3.1642 -0.0002 -0.0001 -1.5823 2.7402 0.0001 -0.0002 0.0001 5.2114" Properties=species:S:1:pos:R:3 pbc="T T T"
Li 1.5819 0.9133 1.8770
Li -0.0002 1.8268 3.3344
Ru 0.0000 0.0000 0.0000
N 1.5820 0.9133 4.1013
N -0.0002 1.8268 1.1101
```

Symmetry = No. 164
Total moment = 0.002 μB per atom
Energy relative to the elements = -1.052 eV/f.u.
Raw total energy = -6.02 eV/atom
Crystal system = trigonal

---

10.
Li6SN4: optimized geometry, PBE.

The structure in extended XYZ format:
```
22
Lattice="-3.5575 4.2748 -2.9868 -3.7794 -4.6047 -2.0890 -2.7750 0.4718 3.9804" Properties=species:S:1:pos:R:3 pbc="T T T"
Li -3.7014 -1.9943 1.5542
Li -4.1295 2.5371 1.8785
Li -2.7420 2.3012 -0.1117
Li -2.3139 -2.2302 -0.4360
Li -2.9424 0.1660 0.9145
Li -7.1694 -0.0241 -2.0099
Li -5.2233 -0.2348 -3.6136
Li -2.1135 -0.0950 -1.4622
Li -4.9920 2.6289 -0.8063
Li -5.1198 -2.4870 -0.2891
Li -3.7154 -2.0468 -2.3476
Li -3.6214 1.7169 -2.7282
S -5.0559 0.0710 -0.5477
S 0.0000 0.0000 0.0000
N -3.7914 -0.9385 -0.6102
N -5.3317 0.9124 -1.9035
N -3.2817 3.4335 -1.6310
N -1.2645 1.0095 0.0625
N -4.7321 1.1519 0.6137
N -6.3685 -0.8418 -0.2908
N -5.2418 -3.2201 1.6345
N -3.0988 -0.6091 2.8190
```

Symmetry = No. 137
Total moment = 0.000 μB per atom
Energy relative to the elements = -6.757 eV/f.u.
Raw total energy = -4.93 eV/atom
Crystal system = tetragonal

---

11.
Li6SeN4: optimized geometry, PBE.

The structure in extended XYZ format:
```
22
Lattice="6.5664 0.0000 0.0000 0.0000 6.5664 0.0000 0.0000 0.0000 4.8973" Properties=species:S:1:pos:R:3 pbc="T T T"
Li 0.0000 3.2832 2.9774
Li 3.2832 0.0000 4.3686
Li 3.2832 0.0000 1.9200
Li 0.0000 3.2832 0.5287
Li 1.3981 1.3981 2.4487
Li 5.1683 5.1683 2.4487
Li 4.6813 4.6813 0.0000
Li 1.8851 1.8851 0.0000
Li 5.1683 1.3981 2.4487
Li 1.3981 5.1683 2.4487
Li 1.8851 4.6813 0.0000
Li 4.6813 1.8851 0.0000
Se 3.2832 3.2832 2.4487
Se 0.0000 0.0000 0.0000
N 1.7384 3.2832 1.5250
N 4.8280 3.2832 1.5250
N 5.0216 0.0000 0.9237
N 1.5448 0.0000 0.9237
N 3.2832 1.7384 3.3723
N 3.2832 4.8280 3.3723
N 0.0000 5.0216 3.9737
N 0.0000 1.5448 3.9737
```

Symmetry = No. 137
Total moment = 0.000 μB per atom
Energy relative to the elements = -4.896 eV/f.u.
Raw total energy = -4.70 eV/atom
Crystal system = tetragonal

---

Q: Number 5 is which compound?
A: Li7ReN4

---

Q: What is the energy relative to the elements in the seventh record?
A: 0.593 eV/f.u.

---

Q: raw total energy of number 7 (Li3RuN2)?
A: -5.06 eV/atom